[1]
Material: Cr2WO6
Method: DFT, PBE with a Hubbard U
State: optimized geometry

abc: 4.666 4.666 9.087
angles: 90.00 90.00 90.00
Space group P4_2/mnm (No. 136)
Unique sites:
Cr: 0.000 0.000 0.165 (multiplicity 4)
W: 0.000 0.000 0.500 (multiplicity 2)
O: 0.194 0.194 0.340 (multiplicity 8)
O: 0.201 0.201 0.000 (multiplicity 4)

The value obtained for the energy relative to the elements is -2305 meV per atom. Its crystal system is tetragonal. Its volume is 11.0 Å³/atom.

[2]
Material: CrW2O8
Method: DFT, PBE with a Hubbard U
State: optimized geometry

abc: 5.052 5.151 6.936
angles: 108.18 92.06 105.00
Space group P-1 (No. 2)
Unique sites:
Cr: 0.000 0.000 0.000 (multiplicity 1)
W: 0.260 0.479 0.823 (multiplicity 2)
O: 0.088 0.773 0.149 (multiplicity 2)
O: 0.124 0.756 0.772 (multiplicity 2)
O: 0.322 0.290 0.584 (multiplicity 2)
O: 0.367 0.288 0.033 (multiplicity 2)

The value obtained for the energy relative to the elements is -1982 meV per atom. Its crystal system is triclinic. For the total moment, the calculation gives 1.998 μB/cell. As for the energy above the most stable polymorph in this dataset: 16 meV per atom. Its volume is 14.9 Å³/atom.

[3]
Material: CrWO3
Method: DFT, PBE with a Hubbard U
State: optimized geometry

abc: 6.6528 6.6528 8.8647
angles: 90.00 90.00 120.00
Space group R3 (No. 146, hexagonal axes)
Unique sites:
Cr: 0.0000 0.0000 0.0000 (multiplicity 3)
W: 0.0000 0.0000 0.6931 (multiplicity 3)
O: 0.0201 0.4905 0.3485 (multiplicity 9)

The value obtained for the energy relative to the elements is -1389 meV per atom. Its crystal system is trigonal. For the total moment, the calculation gives 12.000 μB/cell. Its volume is 22.7 Å³/atom.

[4]
Material: YCrO4
Method: DFT, PBE with a Hubbard U
State: optimized geometry

abc: 6.308 10.228 10.185
angles: 90.00 90.00 90.00
Space group C222 (No. 21)
Unique sites:
Y: 0.000 0.000 0.000 (multiplicity 2)
Y: 0.000 0.500 0.500 (multiplicity 2)
Y: 0.250 0.250 0.750 (multiplicity 4)
Cr: 0.000 0.000 0.500 (multiplicity 2)
Cr: 0.000 0.500 0.000 (multiplicity 2)
Cr: 0.250 0.250 0.249 (multiplicity 4)
O: 0.073 0.163 0.154 (multiplicity 8)
O: 0.075 0.339 0.344 (multiplicity 8)
O: 0.175 0.094 0.589 (multiplicity 8)
O: 0.176 0.414 0.904 (multiplicity 8)

The value obtained for the energy relative to the elements is -2765 meV per atom. Its crystal system is orthorhombic. Its volume is 13.7 Å³/atom.